(a)
Computed, not measured: a relaxed CaH16O10 crystal at the PBE level of DFT.

POSCAR file:
```
CaH16O10
1.0
4.418 -4.393 0.000
4.418 4.393 0.000
-0.024 0.000 10.892
Ca H O
2 32 20
Cartesian
4.407 4.357 5.446 Ca
4.418 -4.357 0.000 Ca
2.587 2.296 4.158 H
2.094 1.785 6.755 H
1.911 0.743 8.618 H
3.672 2.478 2.304 H
2.808 0.487 9.892 H
3.931 1.565 1.034 H
3.945 1.504 4.322 H
2.912 0.445 6.603 H
5.148 2.494 8.577 H
1.922 -0.743 3.172 H
2.820 -0.487 4.446 H
4.863 1.504 6.587 H
2.924 -0.445 1.157 H
4.868 1.493 9.777 H
2.106 -1.785 1.309 H
6.225 2.282 6.749 H
2.575 -2.296 9.604 H
6.728 1.785 4.170 H
5.907 0.451 4.315 H
3.934 -1.504 9.768 H
6.002 0.507 1.025 H
3.919 -1.565 6.480 H
6.907 0.745 2.300 H
3.660 -2.478 7.750 H
5.895 -0.451 9.761 H
4.875 -1.504 1.141 H
4.879 -1.493 4.331 H
5.990 -0.507 6.471 H
6.896 -0.745 7.746 H
5.160 -2.494 3.130 H
6.237 -2.282 1.303 H
6.717 -1.785 9.616 H
1.919 0.873 9.610 O
3.561 2.465 1.307 O
3.572 2.421 4.062 O
1.986 0.796 6.854 O
1.998 -0.796 1.408 O
1.931 -0.873 4.164 O
5.230 2.416 9.571 O
5.239 2.420 6.832 O
4.390 0.011 4.694 O
4.378 -0.011 10.140 O
4.435 0.022 0.739 O
4.423 -0.022 6.186 O
6.890 0.890 1.311 O
3.560 -2.421 9.508 O
3.550 -2.465 6.754 O
6.836 0.799 4.071 O
6.824 -0.799 9.517 O
5.242 -2.416 4.124 O
5.250 -2.420 1.386 O
6.878 -0.890 6.758 O
```

=====

(b)
Computed, not measured: a relaxed CaH16O10 crystal at the PBE level of DFT.

POSCAR file:
```
CaH16O10
1.0
6.401 0.000 0.000
-0.320 6.595 0.000
-0.712 -0.238 10.746
Ca H O
2 32 20
Cartesian
0.000 0.000 0.000 Ca
-0.536 6.336 5.656 Ca
-0.240 4.039 4.118 H
-0.043 1.978 7.509 H
0.428 4.797 2.335 H
0.099 5.148 8.474 H
0.704 2.504 9.497 H
1.237 4.277 1.073 H
1.125 2.417 6.469 H
1.318 4.209 4.256 H
1.705 1.061 2.114 H
1.255 4.687 9.524 H
1.844 1.703 4.257 H
1.953 0.162 3.965 H
1.581 5.734 7.538 H
2.556 2.586 0.739 H
2.109 4.730 6.436 H
2.903 0.350 1.349 H
2.888 0.137 9.702 H
3.362 0.316 6.800 H
3.541 3.062 4.558 H
3.405 5.854 4.597 H
3.463 1.892 6.740 H
3.689 5.140 1.386 H
3.585 3.986 9.712 H
3.844 0.905 8.728 H
4.030 6.057 2.769 H
4.752 1.696 1.432 H
4.769 4.109 6.883 H
4.683 4.577 8.654 H
5.325 2.138 3.696 H
5.571 2.436 5.266 H
5.836 2.837 1.380 H
5.556 2.776 9.483 H
-0.185 2.044 9.325 O
0.355 4.668 1.349 O
0.243 1.898 6.555 O
0.493 4.723 4.035 O
0.733 5.533 9.149 O
1.329 0.908 3.912 O
2.095 0.961 1.207 O
1.812 5.705 6.573 O
2.004 3.473 9.887 O
2.702 3.572 0.619 O
2.545 3.122 4.724 O
2.496 3.195 6.206 O
3.927 6.055 1.650 O
3.733 0.626 9.689 O
3.964 1.073 7.041 O
4.172 6.197 4.109 O
4.536 4.315 9.640 O
5.148 2.782 4.422 O
5.674 1.908 1.677 O
5.224 4.893 7.235 O
```

=====

Stability check: which of them is most stable? (a).

=====

(a)
Computed, not measured: a relaxed CsHfMg14O15 crystal at the PBE level of DFT.

POSCAR file:
```
CsHfMg14O15
1.0
4.329 0.000 0.000
0.000 8.977 0.000
0.000 0.000 9.057
Cs Hf Mg O
1 1 14 15
Cartesian
0.000 0.000 0.000 Cs
0.000 4.489 5.028 Hf
0.000 0.000 5.112 Mg
0.000 2.112 2.779 Mg
0.000 2.392 7.361 Mg
0.000 4.489 0.739 Mg
0.000 6.585 7.361 Mg
0.000 6.865 2.779 Mg
2.165 0.000 2.941 Mg
2.165 0.000 7.011 Mg
2.165 2.186 5.041 Mg
2.165 2.279 0.710 Mg
2.165 4.489 2.776 Mg
2.165 4.489 7.544 Mg
2.165 6.698 0.710 Mg
2.165 6.791 5.041 Mg
0.000 0.000 3.113 O
0.000 2.388 5.036 O
0.000 2.531 0.686 O
0.000 4.489 2.909 O
0.000 4.489 7.254 O
0.000 6.446 0.686 O
0.000 6.589 5.036 O
2.165 0.000 1.029 O
2.165 0.000 4.996 O
2.165 2.304 7.399 O
2.165 2.317 2.906 O
2.165 4.489 0.629 O
2.165 4.489 5.059 O
2.165 6.660 2.906 O
2.165 6.674 7.399 O
```

=====

(b)
Computed, not measured: a relaxed CsHfMg14O15 crystal at the PBE level of DFT.

POSCAR file:
```
CsHfMg14O15
1.0
4.137 0.000 0.000
0.000 8.268 0.000
0.000 0.000 11.720
Cs Hf Mg O
1 1 14 15
Cartesian
0.000 0.000 0.000 Cs
0.000 4.134 0.782 Hf
0.000 0.000 6.294 Mg
0.000 2.063 3.947 Mg
0.000 2.085 8.659 Mg
0.000 4.134 6.185 Mg
0.000 6.183 8.659 Mg
0.000 6.204 3.947 Mg
2.069 0.000 3.959 Mg
2.069 0.000 8.565 Mg
2.069 1.962 1.907 Mg
2.069 2.133 6.503 Mg
2.069 4.134 4.179 Mg
2.069 4.134 9.642 Mg
2.069 6.135 6.503 Mg
2.069 6.306 1.907 Mg
0.000 0.000 4.289 O
0.000 2.109 6.532 O
0.000 2.362 1.733 O
0.000 4.134 4.165 O
0.000 4.134 10.423 O
0.000 5.906 1.733 O
0.000 6.158 6.532 O
2.069 0.000 1.885 O
2.069 0.000 6.492 O
2.069 2.093 3.970 O
2.069 2.227 8.742 O
2.069 4.134 1.153 O
2.069 4.134 6.216 O
2.069 6.041 8.742 O
2.069 6.174 3.970 O
```

=====

Stability check: which of them is most stable? (b).

=====

(a)
Computed, not measured: a relaxed Dy crystal at the PBE level of DFT.

POSCAR file:
```
Dy
1.0
1.786 1.031 8.571
-1.786 1.031 8.571
0.000 -2.062 8.571
Dy
3
Cartesian
0.000 0.000 0.000 Dy
0.000 0.000 5.709 Dy
0.000 0.000 20.003 Dy
```

=====

(b)
Computed, not measured: a relaxed Dy crystal at the PBE level of DFT.

POSCAR file:
```
Dy
1.0
-2.001 2.001 2.001
2.001 -2.001 2.001
2.001 2.001 -2.001
Dy
1
Cartesian
0.000 0.000 0.000 Dy
```

=====

Stability check: which of them is most stable? (a).

=====

(a)
Computed, not measured: a relaxed Si crystal at the PBE level of DFT.

POSCAR file:
```
Si
1.0
12.742 -7.610 0.000
12.742 7.610 0.000
-0.714 0.000 9.876
Si
82
Cartesian
12.207 7.581 7.407 Si
5.687 3.518 7.437 Si
2.856 1.378 7.571 Si
10.930 6.099 5.935 Si
8.356 4.330 1.178 Si
7.616 4.166 8.675 Si
11.185 5.998 3.549 Si
3.260 0.605 3.889 Si
4.776 1.412 2.305 Si
6.700 2.019 3.536 Si
6.366 1.791 5.889 Si
4.378 0.553 5.963 Si
13.483 6.099 8.880 Si
13.942 5.998 1.389 Si
2.903 -0.605 8.827 Si
11.225 3.841 6.739 Si
9.412 2.794 7.935 Si
9.923 2.672 1.758 Si
11.577 3.696 3.087 Si
3.212 -1.378 2.633 Si
4.735 -0.553 1.025 Si
8.476 1.006 6.662 Si
8.777 1.012 2.973 Si
4.419 -1.412 7.243 Si
13.189 3.841 8.076 Si
13.550 3.696 1.851 Si
11.750 2.311 4.982 Si
10.361 1.684 9.804 Si
10.061 0.617 4.909 Si
12.663 2.311 9.832 Si
6.723 -1.791 0.951 Si
16.771 4.330 3.760 Si
16.797 4.166 6.140 Si
6.344 -2.019 8.474 Si
8.833 -1.006 1.723 Si
8.421 -1.012 7.912 Si
15.002 2.794 6.879 Si
15.204 2.672 3.181 Si
9.704 -0.617 9.848 Si
14.053 1.684 5.011 Si
6.043 -3.518 2.499 Si
18.727 3.518 7.378 Si
10.717 -1.684 4.865 Si
15.066 0.617 0.029 Si
9.566 -2.672 6.696 Si
9.768 -2.794 2.997 Si
16.350 1.012 1.965 Si
15.938 1.006 8.153 Si
18.426 2.019 1.403 Si
7.973 -4.166 3.737 Si
7.999 -4.330 6.116 Si
18.047 1.791 8.926 Si
12.107 -2.311 0.044 Si
14.709 -0.617 4.967 Si
14.409 -1.684 0.073 Si
13.020 -2.311 4.894 Si
11.221 -3.696 8.026 Si
11.581 -3.841 1.800 Si
20.351 1.412 2.633 Si
15.993 -1.012 6.903 Si
16.294 -1.006 3.215 Si
20.035 0.553 8.851 Si
21.558 1.378 7.243 Si
13.193 -3.696 6.789 Si
14.847 -2.672 8.119 Si
15.359 -2.794 1.941 Si
13.546 -3.841 3.138 Si
21.867 0.605 1.049 Si
10.829 -5.998 8.488 Si
11.287 -6.099 0.997 Si
20.392 -0.553 3.913 Si
18.404 -1.791 3.987 Si
18.070 -2.019 6.341 Si
19.994 -1.412 7.571 Si
21.510 -0.605 5.987 Si
13.585 -5.998 6.327 Si
17.154 -4.166 1.201 Si
16.414 -4.330 8.698 Si
13.840 -6.099 3.941 Si
21.915 -1.378 2.305 Si
19.084 -3.518 2.439 Si
12.563 -7.581 2.469 Si
```

=====

(b)
Computed, not measured: a relaxed Si crystal at the PBE level of DFT.

POSCAR file:
```
Si
1.0
1.927 -5.377 0.000
1.927 5.377 0.000
0.000 0.000 12.727
Si
12
Cartesian
1.927 5.068 7.516 Si
1.927 5.068 11.575 Si
1.927 2.766 7.060 Si
1.927 2.766 12.031 Si
1.927 0.766 8.362 Si
1.927 0.766 10.729 Si
1.927 -0.766 1.999 Si
1.927 -0.766 4.365 Si
1.927 -2.766 0.696 Si
1.927 -2.766 5.668 Si
1.927 -5.068 1.152 Si
1.927 -5.068 5.211 Si
```

=====

Stability check: which of them is most stable? (b).

=====

(a)
Computed, not measured: a relaxed Si crystal at the PBE level of DFT.

POSCAR file:
```
Si
1.0
0.000 2.673 4.663
2.457 0.000 4.663
2.457 2.673 0.000
Si
4
Cartesian
2.457 2.673 2.064 Si
2.457 1.451 4.663 Si
2.457 3.895 4.663 Si
2.457 2.673 7.263 Si
```

=====

(b)
Computed, not measured: a relaxed Si crystal at the PBE level of DFT.

POSCAR file:
```
Si
1.0
2.639 0.000 0.000
-1.320 2.286 0.000
0.000 0.000 4.764
Si
2
Cartesian
0.000 1.524 1.191 Si
1.320 0.762 3.573 Si
```

=====

Stability check: which of them is most stable? (a).

=====

(a)
Computed, not measured: a relaxed Ba3Y crystal at the PBE level of DFT.

POSCAR file:
```
Ba3Y
1.0
-2.956 2.956 5.934
2.956 -2.956 5.934
2.956 2.956 -5.934
Ba Y
3 1
Cartesian
0.000 0.000 0.000 Ba
2.956 0.000 2.967 Ba
0.000 2.956 2.967 Ba
0.000 0.000 5.934 Y
```

=====

(b)
Computed, not measured: a relaxed Ba3Y crystal at the PBE level of DFT.

POSCAR file:
```
Ba3Y
1.0
8.444 0.000 0.000
-4.222 7.313 0.000
0.000 0.000 6.736
Ba Y
6 2
Cartesian
0.000 2.517 1.684 Ba
-2.042 6.054 1.684 Ba
2.180 1.259 5.052 Ba
2.042 6.054 1.684 Ba
6.264 1.259 5.052 Ba
4.222 4.796 5.052 Ba
0.000 4.875 5.052 Y
4.222 2.438 1.684 Y
```

=====

Stability check: which of them is most stable? (b).